No. 1
{
  "formula": "La4Cu6Mo9O36",
  "functional": "GGA+U",
  "state": "optimized geometry",
  "cell": [[7.488, -10.593, 0.000], [7.488, 10.593, 0.000], [-7.496, 0.000, 10.588]],
  "species": ["La", "La", "La", "La", "La", "La", "La", "La", "Cu", "Cu", "Cu", "Cu", "Cu", "Cu", "Cu", "Cu", "Cu", "Cu", "Cu", "Cu", "Mo", "Mo", "Mo", "Mo", "Mo", "Mo", "Mo", "Mo", "Mo", "Mo", "Mo", "Mo", "Mo", "Mo", "Mo", "Mo", "Mo", "Mo", "O", "O", "O", "O", "O", "O", "O", "O", "O", "O", "O", "O", "O", "O", "O", "O", "O", "O", "O", "O", "O", "O", "O", "O", "O", "O", "O", "O", "O", "O", "O", "O", "O", "O", "O", "O", "O", "O", "O", "O", "O", "O", "O", "O", "O", "O", "O", "O", "O", "O", "O", "O", "O", "O", "O", "O", "O", "O", "O", "O", "O", "O", "O", "O", "O", "O", "O", "O", "O", "O", "O", "O"],
  "frac_coords": [[0.454, 0.403, 0.948], [0.948, 0.454, 0.403], [0.903, 0.954, 0.448], [0.954, 0.448, 0.903], [0.448, 0.903, 0.954], [0.010, 0.010, 0.010], [0.403, 0.948, 0.454], [0.510, 0.510, 0.510], [0.331, 0.399, 0.641], [0.065, 0.271, 0.509], [0.831, 0.141, 0.899], [0.399, 0.641, 0.331], [0.009, 0.771, 0.565], [0.509, 0.065, 0.271], [0.641, 0.331, 0.399], [0.565, 0.009, 0.771], [0.771, 0.565, 0.009], [0.271, 0.509, 0.065], [0.141, 0.899, 0.831], [0.899, 0.831, 0.141], [0.584, 0.329, 0.696], [0.829, 0.084, 0.196], [0.504, 0.757, 0.202], [0.657, 0.703, 0.910], [0.202, 0.504, 0.757], [0.910, 0.657, 0.703], [0.257, 0.004, 0.702], [0.157, 0.410, 0.203], [0.703, 0.910, 0.657], [0.084, 0.196, 0.829], [0.329, 0.696, 0.584], [0.757, 0.202, 0.504], [0.702, 0.257, 0.004], [0.196, 0.829, 0.084], [0.696, 0.584, 0.329], [0.410, 0.203, 0.157], [0.004, 0.702, 0.257], [0.203, 0.157, 0.410], [0.429, 0.591, 0.076], [0.110, 0.098, 0.247], [0.610, 0.747, 0.598], [0.135, 0.667, 0.040], [0.126, 0.470, 0.842], [0.747, 0.598, 0.610], [0.782, 0.317, 0.169], [0.292, 0.960, 0.826], [0.792, 0.326, 0.460], [0.342, 0.970, 0.626], [0.074, 0.867, 0.075], [0.576, 0.091, 0.929], [0.470, 0.842, 0.126], [0.098, 0.247, 0.110], [0.540, 0.167, 0.635], [0.472, 0.092, 0.130], [0.630, 0.592, 0.972], [0.932, 0.243, 0.333], [0.571, 0.781, 0.934], [0.826, 0.292, 0.960], [0.432, 0.833, 0.743], [0.324, 0.482, 0.321], [0.667, 0.040, 0.135], [0.934, 0.571, 0.781], [0.635, 0.540, 0.167], [0.575, 0.367, 0.574], [0.092, 0.130, 0.472], [0.040, 0.135, 0.667], [0.960, 0.826, 0.292], [0.075, 0.074, 0.867], [0.817, 0.282, 0.669], [0.743, 0.432, 0.833], [0.326, 0.460, 0.792], [0.434, 0.281, 0.071], [0.833, 0.743, 0.432], [0.973, 0.243, 0.853], [0.473, 0.353, 0.743], [0.247, 0.110, 0.098], [0.282, 0.669, 0.817], [0.781, 0.934, 0.571], [0.169, 0.782, 0.317], [0.574, 0.575, 0.367], [0.076, 0.429, 0.591], [0.167, 0.635, 0.540], [0.743, 0.473, 0.353], [0.853, 0.973, 0.243], [0.970, 0.626, 0.342], [0.592, 0.972, 0.630], [0.842, 0.126, 0.470], [0.243, 0.853, 0.973], [0.367, 0.574, 0.575], [0.482, 0.321, 0.324], [0.130, 0.472, 0.092], [0.317, 0.169, 0.782], [0.929, 0.576, 0.091], [0.071, 0.434, 0.281], [0.460, 0.792, 0.326], [0.626, 0.342, 0.970], [0.598, 0.610, 0.747], [0.867, 0.075, 0.074], [0.972, 0.630, 0.592], [0.353, 0.743, 0.473], [0.091, 0.929, 0.576], [0.821, 0.982, 0.824], [0.333, 0.932, 0.243], [0.321, 0.324, 0.482], [0.281, 0.071, 0.434], [0.824, 0.821, 0.982], [0.243, 0.333, 0.932], [0.669, 0.817, 0.282], [0.591, 0.076, 0.429], [0.982, 0.824, 0.821]],
  "magmom_total_mub_per_fu": 0.00,
  "formation_energy_ev_per_atom": -2.16,
  "vol_a3_per_cell": 1680,
  "space_group": "R3c (161)"
}



No. 2
{
  "formula": "LaCuMo2O8",
  "functional": "GGA+U",
  "state": "optimized geometry",
  "cell": [[10.124, 0.000, 0.000], [0.000, 10.185, 0.000], [0.000, 0.000, 13.881]],
  "species": ["La", "La", "La", "La", "La", "La", "La", "La", "Cu", "Cu", "Cu", "Cu", "Cu", "Cu", "Cu", "Cu", "Mo", "Mo", "Mo", "Mo", "Mo", "Mo", "Mo", "Mo", "Mo", "Mo", "Mo", "Mo", "Mo", "Mo", "Mo", "Mo", "O", "O", "O", "O", "O", "O", "O", "O", "O", "O", "O", "O", "O", "O", "O", "O", "O", "O", "O", "O", "O", "O", "O", "O", "O", "O", "O", "O", "O", "O", "O", "O", "O", "O", "O", "O", "O", "O", "O", "O", "O", "O", "O", "O", "O", "O", "O", "O", "O", "O", "O", "O", "O", "O", "O", "O", "O", "O", "O", "O", "O", "O", "O", "O"],
  "frac_coords": [[0.379, 0.957, 0.627], [0.621, 0.043, 0.373], [0.121, 0.457, 0.373], [0.621, 0.543, 0.127], [0.879, 0.543, 0.627], [0.379, 0.457, 0.873], [0.879, 0.043, 0.873], [0.121, 0.957, 0.127], [0.419, 0.773, 0.987], [0.581, 0.227, 0.013], [0.081, 0.273, 0.013], [0.581, 0.727, 0.487], [0.919, 0.727, 0.987], [0.419, 0.273, 0.513], [0.919, 0.227, 0.513], [0.081, 0.773, 0.487], [0.287, 0.584, 0.582], [0.713, 0.416, 0.418], [0.213, 0.084, 0.418], [0.713, 0.916, 0.082], [0.787, 0.916, 0.582], [0.287, 0.084, 0.918], [0.787, 0.416, 0.918], [0.213, 0.584, 0.082], [0.132, 0.736, 0.796], [0.868, 0.264, 0.204], [0.368, 0.236, 0.204], [0.868, 0.764, 0.296], [0.632, 0.764, 0.796], [0.132, 0.236, 0.704], [0.632, 0.264, 0.704], [0.368, 0.736, 0.296], [0.339, 0.943, 0.989], [0.661, 0.057, 0.011], [0.161, 0.443, 0.011], [0.661, 0.557, 0.489], [0.839, 0.557, 0.989], [0.339, 0.443, 0.511], [0.839, 0.057, 0.511], [0.161, 0.943, 0.489], [0.400, 0.720, 0.560], [0.600, 0.280, 0.440], [0.100, 0.220, 0.440], [0.600, 0.780, 0.060], [0.900, 0.780, 0.560], [0.400, 0.220, 0.940], [0.900, 0.280, 0.940], [0.100, 0.720, 0.060], [0.109, 0.594, 0.543], [0.891, 0.406, 0.457], [0.391, 0.094, 0.457], [0.891, 0.906, 0.043], [0.609, 0.906, 0.543], [0.109, 0.094, 0.957], [0.609, 0.406, 0.957], [0.391, 0.594, 0.043], [0.015, 0.617, 0.755], [0.985, 0.383, 0.245], [0.485, 0.117, 0.245], [0.985, 0.883, 0.255], [0.515, 0.883, 0.755], [0.015, 0.117, 0.745], [0.515, 0.383, 0.745], [0.485, 0.617, 0.255], [0.207, 0.810, 0.691], [0.793, 0.190, 0.309], [0.293, 0.310, 0.309], [0.793, 0.690, 0.191], [0.707, 0.690, 0.691], [0.207, 0.310, 0.809], [0.707, 0.190, 0.809], [0.293, 0.810, 0.191], [0.296, 0.539, 0.705], [0.704, 0.461, 0.295], [0.204, 0.039, 0.295], [0.704, 0.961, 0.205], [0.796, 0.961, 0.705], [0.296, 0.039, 0.795], [0.796, 0.461, 0.795], [0.204, 0.539, 0.205], [0.039, 0.855, 0.863], [0.961, 0.145, 0.137], [0.461, 0.355, 0.137], [0.961, 0.645, 0.363], [0.539, 0.645, 0.863], [0.039, 0.355, 0.637], [0.539, 0.145, 0.637], [0.461, 0.855, 0.363], [0.251, 0.666, 0.879], [0.749, 0.334, 0.121], [0.249, 0.166, 0.121], [0.749, 0.834, 0.379], [0.751, 0.834, 0.879], [0.251, 0.166, 0.621], [0.751, 0.334, 0.621], [0.249, 0.666, 0.379]],
  "magmom_total_mub_per_fu": 0.00,
  "formation_energy_ev_per_atom": -2.26,
  "vol_a3_per_cell": 1431,
  "space_group": "Pbca (61)"
}



No. 3
{
  "formula": "La4Cu3MoO12",
  "functional": "GGA+U",
  "state": "optimized geometry",
  "cell": [[6.469, 0.000, -2.287], [-3.234, 5.602, -2.287], [0.000, 0.000, 6.861]],
  "species": ["La", "La", "La", "La", "Cu", "Cu", "Cu", "Mo", "O", "O", "O", "O", "O", "O", "O", "O", "O", "O", "O", "O"],
  "frac_coords": [[0.000, 0.000, 0.500], [0.000, 0.500, 0.000], [0.500, 0.000, 0.000], [0.500, 0.500, 0.500], [0.500, 0.500, 0.000], [0.500, 0.000, 0.500], [0.000, 0.500, 0.500], [0.000, 0.000, 0.000], [0.500, 0.250, 0.750], [0.758, 0.758, 0.000], [0.758, 0.000, 0.758], [0.242, 0.000, 0.242], [0.000, 0.242, 0.242], [0.242, 0.242, 0.000], [0.000, 0.758, 0.758], [0.500, 0.750, 0.250], [0.750, 0.500, 0.250], [0.250, 0.500, 0.750], [0.750, 0.250, 0.500], [0.250, 0.750, 0.500]],
  "magmom_total_mub_per_fu": 0.02,
  "formation_energy_ev_per_atom": -2.46,
  "vol_a3_per_cell": 249,
  "e_above_lowest_polymorph_mev_per_atom": 218,
  "space_group": "Im-3m (229)"
}



No. 4
{
  "formula": "La4Cu3MoO12",
  "functional": "GGA+U",
  "state": "optimized geometry",
  "cell": [[-3.833, 0.105, 10.254], [5.422, -3.807, 2.066], [4.138, 6.675, 1.478]],
  "species": ["La", "La", "La", "La", "La", "La", "La", "La", "Cu", "Cu", "Cu", "Cu", "Cu", "Cu", "Mo", "Mo", "O", "O", "O", "O", "O", "O", "O", "O", "O", "O", "O", "O", "O", "O", "O", "O", "O", "O", "O", "O", "O", "O", "O", "O"],
  "frac_coords": [[0.498, 0.762, 0.630], [0.998, 0.249, 0.880], [0.002, 0.762, 0.630], [0.998, 0.238, 0.370], [0.002, 0.751, 0.120], [0.498, 0.751, 0.120], [0.502, 0.238, 0.370], [0.502, 0.249, 0.880], [0.250, 0.110, 0.091], [0.750, 0.884, 0.343], [0.250, 0.116, 0.657], [0.250, 0.544, 0.873], [0.750, 0.456, 0.127], [0.750, 0.890, 0.909], [0.250, 0.579, 0.378], [0.750, 0.421, 0.622], [0.250, 0.715, 0.576], [0.074, 0.580, 0.377], [0.584, 0.416, 0.126], [0.918, 0.916, 0.372], [0.417, 0.085, 0.122], [0.418, 0.084, 0.628], [0.084, 0.584, 0.874], [0.750, 0.688, 0.620], [0.750, 0.285, 0.424], [0.917, 0.915, 0.878], [0.250, 0.312, 0.380], [0.583, 0.915, 0.878], [0.926, 0.420, 0.623], [0.750, 0.290, 0.824], [0.083, 0.085, 0.122], [0.250, 0.263, 0.875], [0.082, 0.084, 0.628], [0.426, 0.580, 0.377], [0.574, 0.420, 0.623], [0.416, 0.584, 0.874], [0.582, 0.916, 0.372], [0.916, 0.416, 0.126], [0.250, 0.710, 0.176], [0.750, 0.737, 0.125]],
  "magmom_total_mub_per_fu": 1.00,
  "formation_energy_ev_per_atom": -2.68,
  "vol_a3_per_cell": 607,
  "e_above_lowest_polymorph_mev_per_atom": 0,
  "space_group": "P2_1/m (11)"
}



No. 5
{
  "formula": "La4ZnCu2MoO12",
  "functional": "GGA+U",
  "state": "optimized geometry",
  "cell": [[7.997, 0.000, 0.000], [-3.978, 6.977, 0.000], [-2.010, -3.488, 10.972]],
  "species": ["La", "La", "La", "La", "La", "La", "La", "La", "Zn", "Zn", "Cu", "Cu", "Cu", "Cu", "Mo", "Mo", "O", "O", "O", "O", "O", "O", "O", "O", "O", "O", "O", "O", "O", "O", "O", "O", "O", "O", "O", "O", "O", "O", "O", "O"],
  "frac_coords": [[0.000, 0.500, 0.000], [0.251, 0.755, 0.506], [0.749, 0.245, 0.494], [0.500, 0.000, 0.000], [0.760, 0.759, 0.498], [0.240, 0.241, 0.502], [0.000, 0.000, 0.000], [0.500, 0.500, 0.000], [0.225, 0.012, 0.753], [0.775, 0.988, 0.247], [0.228, 0.577, 0.750], [0.772, 0.423, 0.250], [0.669, 0.020, 0.749], [0.331, 0.980, 0.251], [0.709, 0.540, 0.746], [0.291, 0.460, 0.254], [0.881, 0.547, 0.417], [0.119, 0.453, 0.583], [0.384, 0.859, 0.749], [0.616, 0.141, 0.251], [0.442, 0.403, 0.747], [0.558, 0.597, 0.253], [0.381, 0.547, 0.429], [0.619, 0.453, 0.571], [0.160, 0.592, 0.252], [0.840, 0.408, 0.748], [0.147, 0.194, 0.251], [0.853, 0.806, 0.749], [0.206, 0.874, 0.084], [0.794, 0.126, 0.916], [0.205, 0.370, 0.076], [0.795, 0.630, 0.924], [0.712, 0.378, 0.084], [0.288, 0.622, 0.916], [0.292, 0.130, 0.919], [0.708, 0.870, 0.081], [0.369, 0.039, 0.418], [0.631, 0.961, 0.582], [0.123, 0.961, 0.586], [0.877, 0.039, 0.414]],
  "magmom_total_mub_per_fu": 0.00,
  "formation_energy_ev_per_atom": -2.75,
  "vol_a3_per_cell": 612,
  "space_group": "P-1 (2)"
}



No. 6
{
  "formula": "La4CuNiO8",
  "functional": "GGA+U",
  "state": "optimized geometry",
  "cell": [[3.876, 0.000, 0.000], [-1.938, 1.890, 6.442], [1.938, -13.576, 6.530]],
  "species": ["La", "La", "La", "La", "La", "La", "La", "La", "Cu", "Cu", "Ni", "Ni", "O", "O", "O", "O", "O", "O", "O", "O", "O", "O", "O", "O", "O", "O", "O", "O"],
  "frac_coords": [[0.484, 0.128, 0.159], [0.985, 0.628, 0.659], [0.015, 0.372, 0.341], [0.516, 0.872, 0.841], [0.228, 0.860, 0.405], [0.728, 0.360, 0.905], [0.272, 0.640, 0.095], [0.772, 0.140, 0.595], [0.500, 0.500, 0.500], [0.000, 0.000, 0.000], [0.750, 0.749, 0.250], [0.250, 0.250, 0.750], [0.500, 0.000, 0.000], [0.000, 0.500, 0.500], [0.250, 0.750, 0.250], [0.750, 0.250, 0.750], [0.612, 0.438, 0.214], [0.112, 0.938, 0.714], [0.888, 0.062, 0.286], [0.388, 0.562, 0.786], [0.371, 0.180, 0.437], [0.871, 0.679, 0.937], [0.129, 0.320, 0.063], [0.629, 0.821, 0.563], [0.870, 0.861, 0.120], [0.370, 0.361, 0.620], [0.630, 0.639, 0.380], [0.130, 0.140, 0.880]],
  "magmom_total_mub_per_fu": 1.81,
  "formation_energy_ev_per_atom": -3.01,
  "vol_a3_per_cell": 387,
  "space_group": "C2/m (12)"
}



No. 7
{
  "formula": "Sr5La5CuNi4O20",
  "functional": "GGA+U",
  "state": "optimized geometry",
  "cell": [[18.142, -0.408, -6.648], [6.862, 3.442, -3.994], [0.445, 0.491, 6.821]],
  "species": ["Sr", "Sr", "Sr", "Sr", "Sr", "La", "La", "La", "La", "La", "Cu", "Ni", "Ni", "Ni", "Ni", "O", "O", "O", "O", "O", "O", "O", "O", "O", "O", "O", "O", "O", "O", "O", "O", "O", "O", "O", "O"],
  "frac_coords": [[0.129, 0.358, 0.718], [0.329, 0.356, 0.718], [0.527, 0.363, 0.718], [0.728, 0.359, 0.718], [0.872, 0.641, 0.286], [0.073, 0.636, 0.274], [0.270, 0.647, 0.277], [0.473, 0.638, 0.279], [0.672, 0.644, 0.278], [0.927, 0.364, 0.728], [0.000, 0.997, 0.993], [0.201, 0.996, 0.994], [0.401, 0.997, 0.996], [0.599, 0.999, 0.993], [0.800, 0.999, 0.000], [0.099, 0.001, 0.000], [0.999, 0.504, 0.005], [0.178, 0.140, 0.327], [0.303, 0.002, 0.010], [0.033, 0.835, 0.650], [0.198, 0.508, 0.016], [0.373, 0.147, 0.325], [0.496, 0.006, 0.010], [0.225, 0.846, 0.654], [0.399, 0.504, 0.003], [0.557, 0.180, 0.325], [0.701, 0.004, 0.003], [0.435, 0.829, 0.660], [0.603, 0.496, 0.011], [0.765, 0.168, 0.321], [0.896, 0.009, 0.017], [0.642, 0.818, 0.655], [0.798, 0.505, 0.001], [0.966, 0.169, 0.352], [0.834, 0.834, 0.685]],
  "magmom_total_mub_per_fu": 2.00,
  "formation_energy_ev_per_atom": -2.65,
  "vol_a3_per_cell": 469,
  "space_group": "P1 (1)"
}